[1]
K3CuB2P4H3O17: optimized geometry, PBE-GGA.

a b c (Å): 17.8410 9.4910 9.7017
angles (deg): 67.94 90.00 90.00
Closest atoms and distances in Å follow each position.
Element x y z (fractional)
K 0.8688 0.0553 0.0158  6 O 2.63-2.95
K 0.6312 0.5553 0.0158  6 O 2.63-2.95
K 0.1309 0.4640 0.3721  6 O 2.79-3.11
K 0.8880 0.0983 0.5433  6 O 2.71-2.99, 1 H 2.98
K 0.3880 0.4017 0.4567  6 O 2.71-2.99, 1 H 2.98
K 0.6309 0.0360 0.6279  6 O 2.79-3.11
K 0.3691 0.9640 0.3721  6 O 2.79-3.11
K 0.6120 0.5983 0.5433  6 O 2.71-2.99, 1 H 2.98
K 0.1120 0.9017 0.4567  6 O 2.71-2.99, 1 H 2.98
K 0.8691 0.5360 0.6279  6 O 2.79-3.11
K 0.3688 0.4447 0.9842  6 O 2.63-2.95
K 0.1312 0.9447 0.9842  6 O 2.63-2.95
Cu 0.8323 0.4367 0.0259  4 O 1.95-2.03
Cu 0.6677 0.9367 0.0259  4 O 1.95-2.03
Cu 0.3323 0.0633 0.9741  4 O 1.95-2.03
Cu 0.1677 0.5633 0.9741  4 O 1.95-2.03
B 0.5867 0.2070 0.0111  4 O 1.47-1.50
B 0.9133 0.7070 0.0111  4 O 1.47-1.50
B 0.9084 0.4926 0.2767  4 O 1.47-1.50
B 0.5916 0.9926 0.2767  4 O 1.47-1.50
B 0.4084 0.0074 0.7233  4 O 1.47-1.50
B 0.0916 0.5074 0.7233  4 O 1.47-1.50
B 0.0867 0.2930 0.9889  4 O 1.47-1.50
B 0.4133 0.7930 0.9889  4 O 1.47-1.50
P 0.2195 0.2230 0.1417  4 O 1.52-1.58
P 0.9777 0.2699 0.2038  4 O 1.53-1.58
P 0.5187 0.2565 0.2469  4 O 1.50-1.59
P 0.2805 0.7230 0.1417  4 O 1.52-1.58
P 0.5223 0.7699 0.2038  4 O 1.53-1.58
P 0.7592 0.3935 0.3492  4 O 1.52-1.59
P 0.9813 0.7565 0.2469  4 O 1.50-1.59
P 0.7408 0.8935 0.3492  4 O 1.52-1.59
P 0.2592 0.1065 0.6508  4 O 1.52-1.59
P 0.0187 0.2435 0.7531  4 O 1.50-1.59
P 0.2408 0.6065 0.6508  4 O 1.52-1.59
P 0.4777 0.2301 0.7962  4 O 1.53-1.58
P 0.7195 0.2770 0.8583  4 O 1.52-1.58
P 0.4813 0.7435 0.7531  4 O 1.50-1.59
P 0.0223 0.7301 0.7962  4 O 1.53-1.58
P 0.7805 0.7770 0.8583  4 O 1.52-1.58
H 0.7596 0.1520 0.2707  1 O 1.01
H 0.2226 0.1673 0.3922  1 O 1.09
H 0.5345 0.4747 0.2969  1 O 1.06
H 0.7404 0.6520 0.2707  1 O 1.01
H 0.2774 0.6673 0.3922  1 O 1.09
H 0.9655 0.9747 0.2969  1 O 1.06
H 0.0345 0.0253 0.7031  1 O 1.06
H 0.7226 0.3327 0.6078  1 O 1.09
H 0.2596 0.3480 0.7293  1 O 1.01
H 0.4655 0.5253 0.7031  1 O 1.06
H 0.7774 0.8327 0.6078  1 O 1.09
H 0.2404 0.8480 0.7293  1 O 1.01
O 0.1485 0.1849 0.0651  1 B 1.50, 1 P 1.58
O 0.6182 0.0682 0.1235  2 B 1.47
O 0.2917 0.1891 0.0761  1 P 1.52
O 0.5374 0.2911 0.0775  1 B 1.49, 1 P 1.59
O 0.9061 0.2735 0.1157  1 P 1.53
O 0.0463 0.3387 0.0982  1 B 1.48, 1 P 1.57
O 0.2171 0.3890 0.1291  1 P 1.53
O 0.3515 0.6849 0.0651  1 B 1.50, 1 P 1.58
O 0.8818 0.5682 0.1235  2 B 1.47
O 0.2083 0.6891 0.0761  1 P 1.52
O 0.7823 0.0492 0.3270  1 H 1.01
O 0.7480 0.3490 0.2154  1 P 1.52
O 0.9958 0.1100 0.3144  1 H 1.46, 1 P 1.53
O 0.2156 0.1151 0.3107  1 H 1.09
O 0.4359 0.2559 0.2722  1 P 1.50
O 0.9626 0.7911 0.0775  1 B 1.49, 1 P 1.59
O 0.5603 0.1034 0.3371  1 B 1.49, 1 P 1.57
O 0.5939 0.7735 0.1157  1 P 1.53
O 0.4537 0.8387 0.0982  1 B 1.48, 1 P 1.57
O 0.5613 0.3774 0.2921  1 H 1.06
O 0.9696 0.3789 0.2929  1 B 1.50, 1 P 1.58
O 0.2829 0.8890 0.1291  1 P 1.53
O 0.7177 0.5492 0.3270  1 H 1.01
O 0.7520 0.8490 0.2154  1 P 1.52
O 0.8458 0.4145 0.3769  1 B 1.48, 1 P 1.59
O 0.5042 0.6100 0.3144  1 H 1.46, 1 P 1.53
O 0.2844 0.6151 0.3107  1 H 1.09
O 0.0641 0.7559 0.2722  1 P 1.50
O 0.9397 0.6034 0.3371  1 B 1.49, 1 P 1.57
O 0.2298 0.2227 0.5048  1 H 1.38, 1 P 1.52
O 0.7298 0.2773 0.4952  1 H 1.38, 1 P 1.52
O 0.9387 0.8774 0.2921  1 H 1.06
O 0.5304 0.8789 0.2929  1 B 1.50, 1 P 1.58
O 0.3458 0.0855 0.6231  1 B 1.48, 1 P 1.59
O 0.6542 0.9145 0.3769  1 B 1.48, 1 P 1.59
O 0.4696 0.1211 0.7071  1 B 1.50, 1 P 1.58
O 0.0613 0.1226 0.7079  1 H 1.06
O 0.2702 0.7227 0.5048  1 H 1.38, 1 P 1.52
O 0.7702 0.7773 0.4952  1 H 1.38, 1 P 1.52
O 0.0603 0.3966 0.6629  1 B 1.49, 1 P 1.57
O 0.9359 0.2441 0.7278  1 P 1.50
O 0.7156 0.3849 0.6893  1 H 1.09
O 0.4958 0.3900 0.6856  1 H 1.46, 1 P 1.53
O 0.1542 0.5855 0.6231  1 B 1.48, 1 P 1.59
O 0.2480 0.1510 0.7846  1 P 1.52
O 0.2823 0.4508 0.6730  1 H 1.01
O 0.7171 0.1110 0.8709  1 P 1.53
O 0.0304 0.6211 0.7071  1 B 1.50, 1 P 1.58
O 0.4387 0.6226 0.7079  1 H 1.06
O 0.5463 0.1613 0.9018  1 B 1.48, 1 P 1.57
O 0.4061 0.2265 0.8843  1 P 1.53
O 0.4397 0.8966 0.6629  1 B 1.49, 1 P 1.57
O 0.0374 0.2089 0.9225  1 B 1.49, 1 P 1.59
O 0.5641 0.7441 0.7278  1 P 1.50
O 0.7844 0.8849 0.6893  1 H 1.09
O 0.0042 0.8900 0.6856  1 H 1.46, 1 P 1.53
O 0.2520 0.6510 0.7846  1 P 1.52
O 0.2177 0.9508 0.6730  1 H 1.01
O 0.7917 0.3109 0.9239  1 P 1.52
O 0.1182 0.4318 0.8765  2 B 1.47
O 0.6485 0.3151 0.9349  1 B 1.50, 1 P 1.58
O 0.7829 0.6110 0.8709  1 P 1.53
O 0.9537 0.6613 0.9018  1 B 1.48, 1 P 1.57
O 0.0939 0.7265 0.8843  1 P 1.53
O 0.4626 0.7089 0.9225  1 B 1.49, 1 P 1.59
O 0.7083 0.8109 0.9239  1 P 1.52
O 0.3818 0.9318 0.8765  2 B 1.47
O 0.8515 0.8151 0.9349  1 B 1.50, 1 P 1.58

## Properties
As for the formation energy: -2.41 eV per atom. For the volume, the calculation gives 380.6 Å³/f.u.



[2]
Na10Ca6Si3Ge2S9O48: optimized geometry, PBE-GGA.

a b c (Å): 18.4178 9.2784 23.2182
angles (deg): 90.25 89.99 120.58
Closest atoms and distances in Å follow each position.
Element x y z (fractional)
Na 0.3144 0.0007 0.2466  4 O 2.37-2.61
Na 0.1845 0.3554 0.2514  2 O 2.34-2.49
Na 0.4936 0.6385 0.2521  6 O 2.48-2.77
Na 0.3108 0.6157 0.7389  4 O 2.36-2.59
Na 0.8127 0.6274 0.7470  3 O 2.35-2.58
Na 0.9976 0.3436 0.7523  3 O 2.43-2.68
Na 0.1829 0.0202 0.7534  4 O 2.42-2.66
Na 0.6845 0.0133 0.7517  3 O 2.37-2.64
Na 0.1638 0.3465 0.5904  3 O 2.37-2.57
Na 0.8325 0.6882 0.0877  1 O 2.24
Na 0.4870 0.6599 0.9167  4 O 2.34-2.61
Na 0.3577 0.0498 0.9178  3 O 2.36-2.57
Na 0.8513 0.0300 0.9178  6 O 2.40-2.63
Na 0.6584 0.3016 0.9182  6 O 2.46-2.75
Na 0.9861 0.3124 0.4127  4 O 2.35-2.60
Na 0.1588 0.0169 0.4135  5 O 2.46-2.66
Na 0.3523 0.6726 0.4171  5 O 2.43-2.65
Na 0.8564 0.6655 0.4141  3 O 2.37-2.59
Na 0.9967 0.9679 0.5031  5 O 2.48-2.73
Na 0.5050 0.0003 0.5041  5 O 2.51-2.69
Na 0.0124 0.0239 0.0053  5 O 2.43-2.68
Na 0.5034 0.0225 0.0088  3 O 2.38-2.60
Na 0.3314 0.3330 0.8352  4 O 2.44-2.69
Na 0.8310 0.3284 0.8306  6 O 2.62-2.86
Na 0.3325 0.3333 0.3280  6 O 2.58-2.74
Na 0.8315 0.3326 0.3337  3 O 2.44-2.73
Na 0.1618 0.6666 0.1645  6 O 2.51-2.72
Na 0.6753 0.6856 0.1620  3 O 2.35-2.61
Na 0.1745 0.6698 0.6623  3 O 2.31-2.55
Na 0.6605 0.6546 0.6645  6 O 2.49-2.70
Ca 0.0003 0.9978 0.3467  6 O 2.13-2.37
Ca 0.5041 0.0086 0.3512  6 O 2.18-2.36
Ca 0.0046 0.0049 0.8526  6 O 2.09-2.33
Ca 0.5010 0.0054 0.8474  6 O 2.12-2.37
Ca 0.3378 0.3380 0.6797  6 O 2.15-2.35
Ca 0.8304 0.3269 0.6794  6 O 2.19-2.33
Ca 0.3301 0.3328 0.1798  6 O 2.19-2.35
Ca 0.8320 0.3232 0.1825  5 O 2.09-2.34
Ca 0.3334 0.3336 0.9861  6 O 2.31-2.39
Ca 0.8381 0.3179 0.9935  5 O 2.24-2.45
Ca 0.3420 0.3533 0.4913  5 O 2.26-2.46
Ca 0.8347 0.3367 0.4858  6 O 2.30-2.44
Ca 0.1642 0.6595 0.0186  6 O 2.22-2.33
Ca 0.6652 0.6686 0.0206  6 O 2.14-2.32
Ca 0.1687 0.6773 0.5197  5 O 2.13-2.33
Ca 0.6640 0.6686 0.5184  6 O 2.24-2.41
Ca 0.6707 0.6694 0.3147  6 O 2.24-2.36
Ca 0.1649 0.6549 0.8157  6 O 2.26-2.44
Si 0.1438 0.9962 0.2496  4 O 1.58-1.71
Si 0.3432 0.7009 0.2587  4 O 1.58-1.73
Si 0.1462 0.2904 0.7458  3 O 1.59-1.64
Si 0.6438 0.2919 0.7487  4 O 1.59-1.71
Si 0.8447 0.9870 0.7574  4 O 1.58-1.74
Si 0.3443 0.6632 0.5892  4 O 1.63-1.70
Si 0.8437 0.0270 0.0877  3 O 1.57-1.63
Si 0.5221 0.3795 0.9118  4 O 1.58-1.77
Si 0.0218 0.6651 0.4119  3 O 1.58-1.64
Ge 0.9854 0.0030 0.6591  2 O 1.80-1.81
Ge 0.5045 0.0251 0.6449  3 O 1.77-1.90
Ge 0.0027 0.9888 0.1500  3 O 1.78-1.98
Ge 0.4798 0.9722 0.1573  1 O 1.86
Ge 0.1557 0.6815 0.3032  3 O 1.76-1.88
Ge 0.6580 0.6324 0.8049  3 O 1.77-1.90
S 0.6445 0.9944 0.2480  4 O 1.47-1.51
S 0.8519 0.7057 0.2455  4 O 1.47-1.52
S 0.0043 0.3030 0.2518  4 O 1.46-1.56
S 0.5011 0.2967 0.2469  4 O 1.47-1.51
S 0.0008 0.7158 0.7458  4 O 1.46-1.51
S 0.5058 0.7057 0.7520  4 O 1.47-1.54
S 0.3520 0.9966 0.7470  4 O 1.47-1.50
S 0.4883 0.3240 0.5868  4 O 1.45-1.54
S 0.9840 0.3132 0.5872  4 O 1.46-1.54
S 0.1739 0.0307 0.5863  4 O 1.47-1.51
S 0.6739 0.0278 0.5878  4 O 1.47-1.52
S 0.8419 0.6594 0.5882  4 O 1.46-1.56
S 0.4847 0.6512 0.0869  4 O 1.47-1.52
S 0.9858 0.6481 0.0877  4 O 1.45-1.54
S 0.3375 0.0252 0.0851  4 O 1.47-1.53
S 0.1739 0.3206 0.0883  4 O 1.47-1.52
S 0.6786 0.3247 0.0829  4 O 1.48-1.50
S 0.3174 0.6656 0.9158  4 O 1.47-1.50
S 0.8096 0.6591 0.9126  4 O 1.47-1.53
S 0.0121 0.3625 0.9153  4 O 1.46-1.50
S 0.1684 0.9640 0.9164  4 O 1.47-1.50
S 0.6689 0.9619 0.9121  4 O 1.47-1.50
S 0.3108 0.9617 0.4115  4 O 1.46-1.52
S 0.8172 0.9677 0.4181  4 O 1.47-1.50
S 0.1684 0.3737 0.4156  4 O 1.47-1.50
S 0.6688 0.3730 0.4186  4 O 1.47-1.51
S 0.5146 0.6655 0.4143  4 O 1.46-1.50
O 0.1142 0.0361 0.3086  1 Si 1.58
O 0.6069 0.0128 0.3011  1 S 1.47
O 0.4005 0.7798 0.3140  1 Si 1.58
O 0.8958 0.7841 0.2996  1 S 1.47
O 0.4917 0.2004 0.2992  1 S 1.47
O 0.9946 0.2173 0.3067  1 S 1.47
O 0.1035 0.1667 0.7984  1 Si 1.59
O 0.6136 0.1902 0.8070  1 Si 1.59
O 0.4929 0.7721 0.8067  1 S 1.48
O 0.9849 0.7804 0.7988  1 S 1.46
O 0.3944 0.0108 0.8023  1 S 1.47
O 0.8994 0.0203 0.8137  1 Si 1.58
O 0.3988 0.9784 0.6977  1 S 1.49
O 0.8899 0.9433 0.6991  1 Si 1.74, 1 Ge 1.81
O 0.0766 0.1885 0.6865  1 Si 1.79, 1 Ge 1.80
O 0.5786 0.1832 0.6922  1 Si 1.71, 1 Ge 1.78
O 0.0116 0.8256 0.6948  1 S 1.51
O 0.5192 0.8174 0.7032  1 S 1.47
O 0.3846 0.8334 0.2005  1 Si 1.73, 1 Ge 1.86
O 0.8992 0.8126 0.1937  1 S 1.52
O 0.0176 0.2157 0.2029  1 S 1.48
O 0.5103 0.2136 0.1947  1 S 1.49
O 0.0791 0.9780 0.1937  1 Si 1.71, 1 Ge 1.78
O 0.5889 0.9700 0.1965  1 S 1.51
O 0.4477 0.3354 0.6388  1 S 1.45
O 0.9452 0.3354 0.6390  1 S 1.46
O 0.2235 0.1143 0.6386  1 S 1.48
O 0.7214 0.0991 0.6415  1 S 1.47
O 0.3271 0.5408 0.6445  1 Si 1.64
O 0.8334 0.5584 0.6389  1 S 1.46
O 0.4427 0.5520 0.1387  1 S 1.48
O 0.9438 0.5482 0.1383  1 S 1.45
O 0.3313 0.1101 0.1369  1 S 1.47
O 0.8306 0.1260 0.1375  1 Si 1.57
O 0.2228 0.3463 0.1413  1 S 1.47
O 0.7347 0.3460 0.1317  1 S 1.48
O 0.2153 0.3001 0.0372  1 S 1.47
O 0.7176 0.3111 0.0279  1 S 1.50
O 0.4366 0.5699 0.0338  1 S 1.48
O 0.9342 0.5768 0.0353  1 S 1.48
O 0.3468 0.1211 0.0322  1 S 1.48
O 0.8631 0.1201 0.0256  1 Si 1.63
O 0.2176 0.1331 0.5344  1 S 1.50
O 0.7173 0.1325 0.5375  1 S 1.47
O 0.3611 0.5948 0.5289  1 Si 1.63
O 0.8542 0.5870 0.5347  1 S 1.48
O 0.4387 0.2995 0.5346  1 S 1.46
O 0.9356 0.2950 0.5346  1 S 1.47
O 0.2718 0.6832 0.9647  1 S 1.47
O 0.7708 0.6829 0.9644  1 S 1.47
O 0.0631 0.4603 0.9647  1 S 1.46
O 0.5819 0.4654 0.9655  1 Si 1.58
O 0.1654 0.8616 0.9654  1 S 1.47
O 0.6625 0.8628 0.9629  1 S 1.47
O 0.2719 0.8549 0.4615  1 S 1.46
O 0.7750 0.8645 0.4687  1 S 1.47
O 0.1621 0.4558 0.4679  1 S 1.47
O 0.6635 0.4587 0.4702  1 S 1.47
O 0.0806 0.6989 0.4661  1 Si 1.58
O 0.5637 0.6702 0.4645  1 S 1.46
O 0.0753 0.6368 0.3532  1 Ge 1.76, 1 Si 1.78
O 0.5547 0.6582 0.3597  1 S 1.49
O 0.2603 0.8817 0.3569  1 S 1.52
O 0.7702 0.8882 0.3649  1 S 1.47
O 0.1808 0.4739 0.3630  1 S 1.48
O 0.6765 0.4700 0.3660  1 S 1.48
O 0.0509 0.4460 0.8601  1 S 1.48
O 0.5744 0.5129 0.8529  1 Ge 1.77, 1 Si 1.77
O 0.1746 0.8885 0.8610  1 S 1.49
O 0.6811 0.8894 0.8584  1 S 1.48
O 0.2738 0.6516 0.8607  1 S 1.48
O 0.7581 0.6404 0.8586  1 S 1.53
O 0.0055 0.8225 0.4087  1 Si 1.64
O 0.5053 0.8160 0.4166  1 S 1.49
O 0.3964 0.9853 0.4073  1 S 1.48
O 0.9032 0.9873 0.4160  1 S 1.50
O 0.0891 0.2069 0.4127  1 S 1.49
O 0.5947 0.2028 0.4167  1 S 1.47
O 0.0028 0.1937 0.9185  1 S 1.49
O 0.5057 0.1896 0.9087  1 Si 1.63
O 0.0938 0.9827 0.9183  1 S 1.47
O 0.5902 0.9705 0.9107  1 S 1.49
O 0.4035 0.8182 0.9157  1 S 1.50
O 0.8944 0.8087 0.9086  1 S 1.47
O 0.4961 0.1663 0.5893  1 S 1.54
O 0.9863 0.1500 0.5921  1 S 1.54
O 0.0906 0.0259 0.5882  1 S 1.51
O 0.5896 0.0210 0.5915  1 S 1.52
O 0.4311 0.8530 0.6026  1 Si 1.70, 1 Ge 1.77
O 0.9239 0.8330 0.5943  1 S 1.56
O 0.4881 0.8185 0.0907  1 S 1.52
O 0.9915 0.8192 0.0927  1 S 1.54
O 0.4171 0.0130 0.0888  1 S 1.53
O 0.9316 0.0059 0.1018  1 Si 1.76, 1 Ge 1.79
O 0.0895 0.1598 0.0931  1 S 1.52
O 0.5940 0.1741 0.0873  1 S 1.48
O 0.3390 0.1404 0.7419  1 S 1.47
O 0.8332 0.1448 0.7444  1 Si 1.61
O 0.2412 0.3189 0.7421  1 Si 1.63
O 0.7392 0.3347 0.7380  1 Si 1.61
O 0.4331 0.5359 0.7448  1 S 1.47
O 0.9285 0.5421 0.7382  1 S 1.49
O 0.3318 0.5193 0.2462  1 Si 1.61
O 0.8437 0.5402 0.2413  1 S 1.47
O 0.4233 0.3107 0.2434  1 S 1.51
O 0.9347 0.3337 0.2446  1 S 1.46
O 0.2391 0.1442 0.2389  1 Si 1.61
O 0.7299 0.1409 0.2435  1 S 1.47
O 0.3272 0.5170 0.9210  1 S 1.49
O 0.8131 0.5029 0.9158  1 S 1.48
O 0.4304 0.3698 0.9116  1 Si 1.64
O 0.9260 0.3420 0.9167  1 S 1.50
O 0.2482 0.1315 0.9197  1 S 1.50
O 0.7435 0.1362 0.9173  1 S 1.50
O 0.3141 0.1247 0.4172  1 S 1.49
O 0.8282 0.1376 0.4225  1 S 1.49
O 0.2424 0.3473 0.4196  1 S 1.50
O 0.7487 0.3662 0.4208  1 S 1.51
O 0.4278 0.5134 0.4152  1 S 1.50
O 0.9299 0.4902 0.4112  1 Si 1.64
O 0.1604 0.4637 0.0822  1 S 1.48
O 0.6745 0.4812 0.0817  1 S 1.49
O 0.0712 0.6747 0.0827  1 S 1.47
O 0.5702 0.6762 0.0843  1 S 1.47
O 0.2627 0.8555 0.0823  1 S 1.47
O 0.7665 0.8347 0.0856  1 Si 1.62
O 0.1615 0.8618 0.5836  1 S 1.47
O 0.6588 0.8566 0.5817  1 S 1.47
O 0.2552 0.6656 0.5865  1 Si 1.65
O 0.7685 0.6814 0.5837  1 S 1.47
O 0.0715 0.4537 0.5828  1 S 1.47
O 0.5742 0.4709 0.5834  1 S 1.47
O 0.1498 0.8184 0.2502  1 Si 1.71, 1 Ge 1.82
O 0.6478 0.8365 0.2496  1 S 1.50
O 0.2462 0.6871 0.2634  1 Si 1.73, 1 Ge 1.88
O 0.7681 0.6917 0.2440  1 S 1.48
O 0.0895 0.4728 0.2533  1 S 1.56
O 0.5744 0.4700 0.2494  1 S 1.48
O 0.1497 0.4703 0.7445  1 Si 1.64
O 0.6507 0.4822 0.7509  1 Si 1.71, 1 Ge 1.82
O 0.0799 0.7092 0.7486  1 S 1.49
O 0.5886 0.7027 0.7549  1 S 1.54
O 0.2669 0.8395 0.7469  1 S 1.50
O 0.7474 0.8050 0.7614  1 Si 1.73, 1 Ge 1.90

## Properties
As for the formation energy: -2.41 eV per atom. For the volume, the calculation gives 1138.6 Å³/f.u.



Question: The lowest volume belongs to which entry?
Answer: K3CuB2P4H3O17